The following is a DFT calculation (GGA-PBE) of crystalline LiMg2 at its relaxed geometry.

```
data_LiMg2
_chemical_formula_sum 'Li4 Mg8'
_space_group_name_H-M_alt 'C 1 2/c 1'
_space_group_IT_number 15
_cell_length_a 9.256
_cell_length_b 5.515
_cell_length_c 5.902
_cell_angle_alpha 90.00
_cell_angle_beta 119.39
_cell_angle_gamma 90.00
loop_
_space_group_symop_operation_xyz
'x,y,z'
'-x,-y,-z'
'-x,y,-z+1/2'
'x,-y,z+1/2'
'x+1/2,y+1/2,z'
'-x+1/2,-y+1/2,-z'
'-x+1/2,y+1/2,-z+1/2'
'x+1/2,-y+1/2,z+1/2'
loop_
_atom_site_label
_atom_site_type_symbol
_atom_site_fract_x
_atom_site_fract_y
_atom_site_fract_z
Li1 Li 0.000 0.085 0.250
Mg1 Mg 0.168 0.414 0.750
```

Output
* volume: 21.9 A^3/atom
* formation enthalpy at 0 K: -0.0269 eV/atom
* DFT total energy: -1.73 eV per atom